DFT (PBE) results for PrMnSi2 after structural relaxation.

## Properties
**Crystal system**: orthorhombic
**Raw total energy**: -107.25 eV for the cell shown
**ΔE_f**: -45 kJ per mole of atoms
**Total magnetic moment**: 0.587 μB/atom

Structure (CIF):
```
data_PrMnSi2
_chemical_formula_sum 'Pr4 Mn4 Si8'
_symmetry_space_group_name_H-M 'C m c m'
_symmetry_Int_Tables_number 63
_symmetry_space_group_name_Hall '-C 2c 2'
_cell_length_a 4.332
_cell_length_b 16.344
_cell_length_c 4.213
_cell_angle_alpha 90.00
_cell_angle_beta 90.00
_cell_angle_gamma 90.00
loop_
_atom_site_label
_atom_site_fract_x
_atom_site_fract_y
_atom_site_fract_z
_atom_site_occupancy
Pr1 0.000 0.106 0.250 1
Mn1 0.000 0.313 0.250 1
Si1 0.000 0.249 0.750 1
Si2 0.000 0.458 0.250 1
```